[1]
A plane-wave DFT calculation with PBE-GGA was carried out for crystalline Bi2PO6 at its relaxed geometry.

Energy of formation from the pure elements   -2.00 eV/atom

Cell and atoms, written as POSCAR:
```
Bi2PO6
1.0
2.865 -7.319 0.000
2.865 7.319 0.000
0.000 0.000 5.761
O P Bi
12 2 4
Direct
0.417 0.284 0.649 O
0.500 0.000 0.262 O
0.284 0.417 0.351 O
0.500 0.000 0.762 O
0.917 0.784 0.851 O
0.083 0.216 0.851 O
0.000 0.500 0.238 O
0.216 0.083 0.149 O
0.716 0.583 0.351 O
0.000 0.500 0.738 O
0.784 0.917 0.149 O
0.583 0.716 0.649 O
0.500 0.500 0.500 P
0.000 0.000 0.000 P
0.166 0.834 0.500 Bi
0.834 0.166 0.500 Bi
0.334 0.666 0.000 Bi
0.666 0.334 0.000 Bi
```

=====

[2]
A plane-wave DFT calculation with PBE-GGA was carried out for crystalline BeO2 at its relaxed geometry.

Energy of formation from the pure elements   -1.43 eV/atom

Cell and atoms, written as POSCAR:
```
BeO2
1.0
-2.479 -2.824 3.386
1.351 -6.806 -4.687
9.246 -3.070 4.210
Be O
12 24
Direct
0.301 0.513 0.421 Be
0.027 0.909 0.176 Be
0.022 0.285 0.828 Be
0.230 0.419 0.152 Be
0.738 0.233 0.157 Be
0.527 0.091 0.824 Be
0.238 0.767 0.843 Be
0.730 0.581 0.848 Be
0.522 0.715 0.172 Be
0.793 0.015 0.421 Be
0.801 0.487 0.579 Be
0.293 0.985 0.579 Be
0.248 0.832 0.691 O
0.314 0.856 0.141 O
0.534 0.449 0.513 O
0.442 0.649 0.318 O
0.441 0.287 0.129 O
0.386 0.922 0.882 O
0.022 0.046 0.516 O
0.942 0.351 0.682 O
0.235 0.414 0.306 O
0.941 0.713 0.871 O
0.447 0.083 0.678 O
0.815 0.781 0.151 O
0.395 0.580 0.096 O
0.941 0.373 0.109 O
0.947 0.917 0.322 O
0.315 0.219 0.849 O
0.522 0.954 0.484 O
0.886 0.078 0.118 O
0.034 0.551 0.487 O
0.748 0.168 0.309 O
0.735 0.586 0.694 O
0.441 0.627 0.891 O
0.814 0.144 0.859 O
0.895 0.420 0.904 O
```

=====

[3]
A plane-wave DFT calculation with PBE-GGA was carried out for crystalline VMoAs2 at its relaxed geometry.

Energy of formation from the pure elements   -0.38 eV/atom

Cell and atoms, written as POSCAR:
```
VMoAs2
1.0
3.386 0.000 0.000
0.000 5.921 0.000
0.000 0.000 6.369
Mo As V
2 4 2
Direct
0.500 0.991 0.934 Mo
0.500 0.491 0.066 Mo
0.000 0.690 0.812 As
0.000 0.190 0.188 As
0.500 0.309 0.670 As
0.500 0.809 0.330 As
0.000 0.010 0.566 V
0.000 0.510 0.434 V
```

=====

[4]
A plane-wave DFT calculation with PBE-GGA was carried out for crystalline SrCu4Sn2 at its relaxed geometry.

Energy of formation from the pure elements   -0.22 eV/atom

Cell and atoms, written as POSCAR:
```
SrCu4Sn2
1.0
-4.105 4.105 3.917
4.105 -4.105 3.917
4.105 4.105 -3.917
Sn Sr Cu
4 2 8
Direct
0.339 0.161 0.500 Sn
0.161 0.661 0.821 Sn
0.839 0.339 0.179 Sn
0.661 0.839 0.500 Sn
0.750 0.750 0.000 Sr
0.250 0.250 0.000 Sr
0.203 0.703 0.229 Cu
0.025 0.797 0.500 Cu
0.297 0.525 0.500 Cu
0.525 0.025 0.229 Cu
0.475 0.975 0.771 Cu
0.975 0.203 0.500 Cu
0.703 0.475 0.500 Cu
0.797 0.297 0.771 Cu
```

=====

[5]
A plane-wave DFT calculation with PBE-GGA was carried out for crystalline Rb2Ba8LiSb6O2 at its relaxed geometry.

Energy of formation from the pure elements   -1.25 eV/atom

Cell and atoms, written as POSCAR:
```
Rb2Ba8LiSb6O2
1.0
8.261 0.111 -4.015
-1.779 8.068 -4.015
-0.019 -0.024 10.757
Ba Rb Li O Sb
8 2 1 2 6
Direct
0.697 0.197 0.696 Ba
0.979 0.479 0.651 Ba
0.000 0.500 0.304 Ba
0.503 0.693 0.704 Ba
0.193 0.003 0.704 Ba
0.490 0.299 0.296 Ba
0.328 0.828 0.349 Ba
0.799 0.990 0.296 Ba
0.511 0.501 0.000 Rb
0.001 0.011 0.000 Rb
0.179 0.679 0.000 Li
0.740 0.240 0.490 O
0.250 0.750 0.510 O
0.630 0.130 0.000 Sb
0.251 0.251 0.500 Sb
0.894 0.622 0.000 Sb
0.377 0.877 0.000 Sb
0.122 0.394 0.000 Sb
0.751 0.751 0.500 Sb
```

=====

[6]
A plane-wave DFT calculation with PBE-GGA was carried out for crystalline BaLa2Cl8 at its relaxed geometry.

Energy of formation from the pure elements   -2.82 eV/atom

Cell and atoms, written as POSCAR:
```
BaLa2Cl8
1.0
-6.603 6.603 3.997
6.603 -6.603 3.997
6.603 6.603 -3.997
Cl La Ba
16 4 2
Direct
0.552 0.031 0.698 Cl
0.664 0.735 0.583 Cl
0.566 0.753 0.905 Cl
0.716 0.927 0.264 Cl
0.247 0.153 0.813 Cl
0.146 0.448 0.479 Cl
0.073 0.337 0.789 Cl
0.847 0.660 0.095 Cl
0.969 0.667 0.521 Cl
0.265 0.848 0.929 Cl
0.663 0.452 0.736 Cl
0.919 0.336 0.071 Cl
0.340 0.434 0.187 Cl
0.548 0.284 0.211 Cl
0.333 0.854 0.302 Cl
0.152 0.081 0.417 Cl
0.311 0.658 0.074 La
0.342 0.416 0.653 La
0.763 0.689 0.347 La
0.584 0.237 0.926 La
0.000 0.000 0.000 Ba
0.750 0.250 0.500 Ba
```